[1]
Sr2CoClO3: relaxed, GGA+U.

DFT formation energy: -2338 meV per atom
Total DFT energy (no corrections): -79.69 eV for the cell shown

Cell: 3.880 3.880 14.960 Å, 90.00 90.00 90.00°
Space group P4/nmm (No. 129, origin choice 2)
Inequivalent atoms, fractional coordinates:
1 Sr 0.250 0.250 0.092 (multiplicity 2)
2 Sr 0.250 0.250 0.338 (multiplicity 2)
3 Co 0.250 0.250 0.793 (multiplicity 2)
4 Cl 0.250 0.250 0.579 (multiplicity 2)
5 O 0.250 0.250 0.927 (multiplicity 2)
6 O 0.250 0.750 0.227 (multiplicity 4)

***

[2]
Li9Mn2Co5O16: relaxed, GGA+U.

Polymorph energy (0 for the lowest one): 0.083 eV/atom
DFT formation energy: -1781 meV per atom
Total DFT energy (no corrections): -184.70 eV for the cell shown

Cell: 5.226 2.869 19.565 Å, 90.00 97.47 90.00°
Space group Pm (No. 6)
Inequivalent atoms, fractional coordinates:
1 Li 0.000 0.000 0.000 (multiplicity 1)
2 Li 0.004 0.000 0.502 (multiplicity 1)
3 Li 0.239 0.500 0.122 (multiplicity 1)
4 Li 0.254 0.500 0.630 (multiplicity 1)
5 Li 0.491 0.000 0.246 (multiplicity 1)
6 Li 0.497 0.500 0.999 (multiplicity 1)
7 Li 0.506 0.000 0.754 (multiplicity 1)
8 Li 0.746 0.500 0.374 (multiplicity 1)
9 Li 0.758 0.500 0.877 (multiplicity 1)
10 Mn 0.241 0.000 0.373 (multiplicity 1)
11 Mn 0.506 0.500 0.503 (multiplicity 1)
12 Co 0.013 0.500 0.755 (multiplicity 1)
13 Co 0.279 0.000 0.884 (multiplicity 1)
14 Co 0.712 0.000 0.116 (multiplicity 1)
15 Co 0.769 0.000 0.630 (multiplicity 1)
16 Co 0.985 0.500 0.246 (multiplicity 1)
17 O 0.101 0.000 0.193 (multiplicity 1)
18 O 0.126 0.500 0.430 (multiplicity 1)
19 O 0.128 0.000 0.694 (multiplicity 1)
20 O 0.129 0.500 0.933 (multiplicity 1)
21 O 0.354 0.500 0.818 (multiplicity 1)
22 O 0.363 0.500 0.317 (multiplicity 1)
23 O 0.384 0.000 0.558 (multiplicity 1)
24 O 0.398 0.000 0.068 (multiplicity 1)
25 O 0.595 0.000 0.932 (multiplicity 1)
26 O 0.617 0.000 0.444 (multiplicity 1)
27 O 0.641 0.500 0.181 (multiplicity 1)
28 O 0.658 0.500 0.685 (multiplicity 1)
29 O 0.866 0.500 0.069 (multiplicity 1)
30 O 0.869 0.500 0.572 (multiplicity 1)
31 O 0.880 0.000 0.303 (multiplicity 1)
32 O 0.893 0.000 0.810 (multiplicity 1)

***

[3]
Mn6O5F7: relaxed, GGA+U.

Polymorph energy (0 for the lowest one): 0.043 eV/atom
DFT formation energy: -2398 meV per atom
Total DFT energy (no corrections): -239.20 eV for the cell shown

Cell: 5.092 5.697 14.798 Å, 87.60 84.88 89.88°
Space group P1 (No. 1)
Inequivalent atoms, fractional coordinates:
1 Mn 0.000 0.000 0.000 (multiplicity 1)
2 Mn 0.003 0.005 0.663 (multiplicity 1)
3 Mn 0.021 0.665 0.831 (multiplicity 1)
4 Mn 0.437 0.099 0.487 (multiplicity 1)
5 Mn 0.443 0.674 0.326 (multiplicity 1)
6 Mn 0.449 0.599 0.656 (multiplicity 1)
7 Mn 0.481 0.147 0.165 (multiplicity 1)
8 Mn 0.494 0.110 0.829 (multiplicity 1)
9 Mn 0.522 0.672 0.987 (multiplicity 1)
10 Mn 0.929 0.977 0.316 (multiplicity 1)
11 Mn 0.978 0.436 0.160 (multiplicity 1)
12 Mn 0.994 0.694 0.486 (multiplicity 1)
13 O 0.137 0.192 0.230 (multiplicity 1)
14 O 0.203 0.759 0.930 (multiplicity 1)
15 O 0.220 0.810 0.576 (multiplicity 1)
16 O 0.221 0.898 0.396 (multiplicity 1)
17 O 0.237 0.887 0.755 (multiplicity 1)
18 O 0.617 0.929 0.250 (multiplicity 1)
19 O 0.713 0.928 0.917 (multiplicity 1)
20 O 0.753 0.740 0.397 (multiplicity 1)
21 O 0.759 0.164 0.739 (multiplicity 1)
22 O 0.815 0.200 0.091 (multiplicity 1)
23 F 0.118 0.673 0.239 (multiplicity 1)
24 F 0.251 0.283 0.597 (multiplicity 1)
25 F 0.254 0.228 0.928 (multiplicity 1)
26 F 0.273 0.439 0.415 (multiplicity 1)
27 F 0.288 0.403 0.770 (multiplicity 1)
28 F 0.316 0.935 0.076 (multiplicity 1)
29 F 0.351 0.438 0.081 (multiplicity 1)
30 F 0.614 0.443 0.243 (multiplicity 1)
31 F 0.739 0.976 0.572 (multiplicity 1)
32 F 0.749 0.210 0.401 (multiplicity 1)
33 F 0.751 0.496 0.563 (multiplicity 1)
34 F 0.769 0.457 0.905 (multiplicity 1)
35 F 0.780 0.668 0.735 (multiplicity 1)
36 F 0.822 0.686 0.076 (multiplicity 1)

***

[4]
Li6V3P8O29: relaxed, GGA+U.

Polymorph energy (0 for the lowest one): 0.003 eV/atom
DFT formation energy: -2659 meV per atom
Total DFT energy (no corrections): -645.62 eV for the cell shown

Cell: 9.815 9.838 13.925 Å, 89.76 89.65 60.18°
Space group P-1 (No. 2)
Inequivalent atoms, fractional coordinates:
1 Li 0.092 0.183 0.440 (multiplicity 2)
2 Li 0.095 0.729 0.939 (multiplicity 2)
3 Li 0.225 0.588 0.439 (multiplicity 2)
4 Li 0.229 0.176 0.938 (multiplicity 2)
5 Li 0.323 0.406 0.060 (multiplicity 2)
6 Li 0.337 0.833 0.616 (multiplicity 2)
7 V 0.000 0.069 0.248 (multiplicity 2)
8 V 0.432 0.498 0.249 (multiplicity 2)
9 V 0.435 0.070 0.745 (multiplicity 2)
10 P 0.088 0.732 0.158 (multiplicity 2)
11 P 0.092 0.180 0.659 (multiplicity 2)
12 P 0.231 0.590 0.655 (multiplicity 2)
13 P 0.236 0.180 0.156 (multiplicity 2)
14 P 0.317 0.270 0.342 (multiplicity 2)
15 P 0.317 0.414 0.841 (multiplicity 2)
16 P 0.329 0.834 0.374 (multiplicity 2)
17 P 0.332 0.835 0.873 (multiplicity 2)
18 O 0.000 0.255 0.569 (multiplicity 2)
19 O 0.001 0.257 0.932 (multiplicity 2)
20 O 0.001 0.289 0.750 (multiplicity 2)
21 O 0.080 0.757 0.662 (multiplicity 2)
22 O 0.085 0.167 0.158 (multiplicity 2)
23 O 0.096 0.883 0.177 (multiplicity 2)
24 O 0.113 0.014 0.674 (multiplicity 2)
25 O 0.183 0.831 0.831 (multiplicity 2)
26 O 0.184 0.986 0.335 (multiplicity 2)
27 O 0.210 0.502 0.749 (multiplicity 2)
28 O 0.216 0.293 0.245 (multiplicity 2)
29 O 0.231 0.262 0.427 (multiplicity 2)
30 O 0.238 0.509 0.566 (multiplicity 2)
31 O 0.242 0.503 0.931 (multiplicity 2)
32 O 0.246 0.257 0.064 (multiplicity 2)
33 O 0.251 0.585 0.158 (multiplicity 2)
34 O 0.257 0.161 0.661 (multiplicity 2)
35 O 0.327 0.987 0.833 (multiplicity 2)
36 O 0.328 0.686 0.336 (multiplicity 2)
37 O 0.328 0.833 0.980 (multiplicity 2)
38 O 0.330 0.836 0.482 (multiplicity 2)
39 O 0.335 0.250 0.841 (multiplicity 2)
40 O 0.336 0.418 0.340 (multiplicity 2)
41 O 0.373 0.615 0.675 (multiplicity 2)
42 O 0.383 0.022 0.174 (multiplicity 2)
43 O 0.477 0.406 0.822 (multiplicity 2)
44 O 0.478 0.835 0.330 (multiplicity 2)
45 O 0.485 0.128 0.326 (multiplicity 2)
46 O 0.486 0.687 0.834 (multiplicity 2)

***

[5]
Li2MnCo3O8: relaxed, GGA+U.

Polymorph energy (0 for the lowest one): 0.000 eV/atom
DFT formation energy: -1679 meV per atom
Total DFT energy (no corrections): -682.52 eV for the cell shown

Cell: 11.476 11.491 8.118 Å, 90.00 90.14 90.00°
Space group C2 (No. 5)
Inequivalent atoms, fractional coordinates:
1 Li 0.124 0.000 0.378 (multiplicity 4)
2 Li 0.126 0.742 0.123 (multiplicity 4)
3 Li 0.127 0.495 0.372 (multiplicity 4)
4 Li 0.128 0.246 0.129 (multiplicity 4)
5 Mn 0.000 0.746 0.500 (multiplicity 2)
6 Mn 0.000 0.997 0.000 (multiplicity 2)
7 Mn 0.124 0.368 0.746 (multiplicity 4)
8 Co 0.000 0.246 0.500 (multiplicity 2)
9 Co 0.000 0.496 0.000 (multiplicity 2)
10 Co 0.125 0.121 0.749 (multiplicity 4)
11 Co 0.125 0.621 0.750 (multiplicity 4)
12 Co 0.125 0.872 0.750 (multiplicity 4)
13 Co 0.249 0.496 0.000 (multiplicity 4)
14 Co 0.250 0.245 0.500 (multiplicity 4)
15 O 0.012 0.246 0.739 (multiplicity 4)
16 O 0.013 0.996 0.763 (multiplicity 4)
17 O 0.014 0.743 0.739 (multiplicity 4)
18 O 0.015 0.498 0.764 (multiplicity 4)
19 O 0.125 0.136 0.515 (multiplicity 4)
20 O 0.125 0.606 0.984 (multiplicity 4)
21 O 0.125 0.634 0.512 (multiplicity 4)
22 O 0.125 0.861 0.517 (multiplicity 4)
23 O 0.126 0.359 0.513 (multiplicity 4)
24 O 0.126 0.884 0.987 (multiplicity 4)
25 O 0.127 0.107 0.991 (multiplicity 4)
26 O 0.128 0.385 0.989 (multiplicity 4)
27 O 0.233 0.744 0.735 (multiplicity 4)
28 O 0.235 0.995 0.767 (multiplicity 4)
29 O 0.237 0.246 0.738 (multiplicity 4)
30 O 0.237 0.499 0.766 (multiplicity 4)